Model one:
80
Lattice="-0.189 8.740 3.251 -5.006 2.802 -7.824 -8.528 -1.954 4.756" Properties=species:S:1:pos:R:3 comment="Li5BiO4 (PBE-GGA, relaxed)" crystal_system=orthorhombic spacegroup="Pbca (61)" pbc="T T T"
Bi -4.538 5.239 -3.017
Bi -3.901 4.755 2.417
Bi -6.469 9.188 -0.367
Bi -9.184 4.349 3.201
Bi -1.970 0.806 -0.233
Bi -9.822 4.833 -2.233
Bi -11.753 8.782 0.417
Bi -7.254 0.400 0.551
Li -10.971 1.131 -0.336
Li -9.584 7.226 3.689
Li -12.036 6.273 -1.099
Li -7.942 -0.235 3.372
Li -6.088 6.307 -0.845
Li -6.342 4.523 4.052
Li -5.207 7.672 -4.205
Li -8.515 1.916 4.389
Li -5.301 3.481 0.370
Li -4.139 2.362 -3.505
Li -4.908 7.823 1.799
Li -3.636 7.260 3.943
Li -6.649 3.785 -1.737
Li -3.228 6.144 -0.123
Li -7.368 7.234 -2.853
Li -8.422 6.107 -0.185
Li -5.496 3.271 -5.470
Li -7.757 2.696 -4.355
Li -1.687 3.315 1.283
Li -7.635 3.281 1.029
Li -3.036 3.860 -0.818
Li -9.774 0.792 1.855
Li -2.752 8.457 0.520
Li -5.780 9.823 -3.188
Li -6.355 2.354 3.037
Li -9.607 8.599 -1.472
Li -8.227 6.317 5.654
Li -4.116 0.989 1.656
Li -10.687 5.728 1.002
Li -10.495 3.444 0.308
Li -7.074 5.803 1.921
Li -8.815 1.765 -1.615
Li -12.308 3.589 -1.538
Li -10.087 2.328 -3.758
Li -7.381 5.065 -3.868
Li -5.966 6.892 4.540
Li -8.894 8.202 0.988
Li -1.415 5.999 1.722
Li -3.948 8.796 -1.671
Li -4.829 1.386 -0.804
O -7.972 1.540 2.330
O -6.161 4.061 2.091
O -9.255 4.119 -4.231
O -6.828 2.789 4.888
O -4.058 1.938 -5.434
O -13.413 7.558 -0.339
O -7.562 5.527 -1.907
O -9.665 7.650 5.618
O -3.251 6.807 1.825
O -5.946 3.611 -3.610
O -8.570 1.100 -3.444
O -4.478 9.379 0.689
O -7.085 2.364 -6.171
O -10.276 7.217 -0.177
O -10.472 2.781 -1.641
O -5.153 8.488 3.628
O -4.668 4.943 -0.778
O -6.742 2.266 -0.487
O -3.447 2.371 0.361
O -5.751 8.048 -2.146
O -6.638 7.224 6.355
O -7.777 5.977 3.794
O -4.468 5.469 4.415
O -12.074 4.689 0.084
O -9.245 0.209 -0.504
O -6.895 6.799 -4.704
O -10.900 5.705 3.405
O -6.981 7.322 0.671
O -1.649 4.899 0.100
O -0.310 2.030 0.523
O -9.055 4.645 0.962
O -2.823 3.883 -3.221

Model two:
80
Lattice="13.656 0.000 0.000 0.000 13.656 0.000 0.000 0.000 4.878" Properties=species:S:1:pos:R:3 comment="Li5BiO4 (PBE-GGA, relaxed)" crystal_system=tetragonal spacegroup="P4_2/nmc (137)" pbc="T T T"
Li 11.684 5.323 0.354
Li 6.828 6.828 2.439
Li 11.907 11.907 2.439
Li 10.375 3.282 0.000
Li 5.323 1.973 4.524
Li 10.110 3.546 2.439
Li 1.506 4.855 2.793
Li 0.000 6.828 0.459
Li 8.577 5.079 0.000
Li 0.000 0.000 2.439
Li 0.000 0.000 0.000
Li 5.323 11.684 4.524
Li 6.828 0.000 1.980
Li 8.334 11.684 4.524
Li 0.000 6.828 2.898
Li 5.079 5.079 0.000
Li 3.282 3.282 0.000
Li 6.828 6.828 0.000
Li 8.577 8.577 0.000
Li 4.855 12.151 2.085
Li 8.801 12.151 2.085
Li 6.828 0.000 4.419
Li 8.334 1.973 4.524
Li 11.684 8.334 0.354
Li 12.151 8.801 2.793
Li 1.973 5.323 0.354
Li 4.855 1.506 2.085
Li 12.151 4.855 2.793
Li 3.546 10.110 2.439
Li 1.749 11.907 2.439
Li 1.973 8.334 0.354
Li 5.079 8.577 0.000
Li 8.801 1.506 2.085
Li 1.506 8.801 2.793
Li 11.907 1.749 2.439
Li 3.282 10.375 0.000
Li 3.546 3.546 2.439
Li 10.110 10.110 2.439
Li 1.749 1.749 2.439
Li 10.375 10.375 0.000
Bi 0.000 3.106 0.249
Bi 9.934 6.828 2.688
Bi 10.551 0.000 4.629
Bi 3.106 0.000 4.629
Bi 3.722 6.828 2.688
Bi 6.828 3.722 2.190
Bi 0.000 10.551 0.249
Bi 6.828 9.934 2.190
O 8.725 10.432 1.065
O 3.224 4.931 3.813
O 5.234 6.828 1.051
O 1.630 6.828 1.665
O 6.828 8.423 3.827
O 4.931 3.224 1.065
O 6.828 5.234 3.827
O 11.759 3.604 1.374
O 5.199 0.000 0.774
O 12.062 0.000 1.388
O 4.931 10.432 1.065
O 8.458 0.000 0.774
O 6.828 12.027 3.213
O 3.604 1.897 3.504
O 8.423 6.828 1.051
O 10.052 1.897 3.504
O 1.897 10.052 1.374
O 6.828 1.630 3.213
O 3.604 11.759 3.504
O 1.594 0.000 1.388
O 11.759 10.052 1.374
O 10.432 8.725 3.813
O 0.000 8.458 4.104
O 8.725 3.224 1.065
O 0.000 5.199 4.104
O 12.027 6.828 1.665
O 10.052 11.759 3.504
O 0.000 1.594 3.490
O 0.000 12.062 3.490
O 1.897 3.604 1.374
O 10.432 4.931 3.813
O 3.224 8.725 3.813

Most stable structure - model two; separation to the second - 6 meV/atom.

Model one:
60
Lattice="5.169 -7.362 0.000 5.169 7.362 0.000 0.000 0.000 13.384" Properties=species:S:1:pos:R:3 comment="LiBi3P6O20 (PBE-GGA, relaxed)" crystal_system=orthorhombic spacegroup="Aea2 (41)" pbc="T T T"
O 7.815 -0.249 2.673
O 1.979 0.255 1.549
O 2.220 -2.059 5.672
O 7.148 -0.255 8.240
O 4.895 -5.478 7.337
O 7.389 -2.059 1.020
O 9.475 -0.768 8.996
O 4.306 0.768 2.304
O 7.600 2.110 3.366
O 6.433 3.220 0.949
O 5.828 -4.110 1.336
O 7.148 0.255 5.143
O 4.197 5.102 2.555
O 4.306 -0.768 11.079
O 4.197 -5.102 10.829
O 5.828 4.110 12.048
O 5.828 -3.252 8.028
O 2.431 -2.110 10.057
O 4.895 1.884 12.739
O 7.389 2.059 12.364
O 2.220 2.059 7.712
O 1.784 -2.444 3.165
O 6.953 2.444 9.857
O 4.197 -2.260 4.137
O 2.646 -0.249 4.019
O 6.433 -4.142 5.743
O 5.828 3.252 5.356
O 1.784 2.444 10.218
O 1.979 -0.255 11.835
O 6.953 -2.444 3.527
O 2.646 0.249 9.365
O 2.431 2.110 3.326
O 4.895 -1.884 0.645
O 4.197 2.260 9.247
O 9.475 0.768 4.387
O 6.433 4.142 7.641
O 4.895 5.478 6.047
O 7.600 -2.110 10.018
O 7.815 0.249 10.710
O 6.433 -3.220 12.434
Bi 5.585 -4.183 3.651
Bi 5.585 4.183 9.733
Bi 9.132 0.000 6.692
Bi 5.585 3.178 3.041
Bi 5.585 -3.178 10.343
Bi 3.963 0.000 0.000
P 2.748 1.851 9.208
P 2.823 -0.759 10.638
P 6.059 4.488 6.213
P 7.917 -1.851 2.516
P 6.059 2.874 12.905
P 2.748 -1.851 4.176
P 2.823 0.759 2.745
P 7.992 -0.759 9.437
P 6.059 -2.874 0.478
P 7.992 0.759 3.946
P 7.917 1.851 10.868
P 6.059 -4.488 7.170
Li 6.045 0.000 6.692
Li 0.877 0.000 0.000

Model two:
60
Lattice="3.553 7.390 -2.755 -8.480 0.739 -1.541 -1.682 5.188 11.745" Properties=species:S:1:pos:R:3 comment="LiBi3P6O20 (PBE-GGA, relaxed)" crystal_system=orthorhombic spacegroup="C222_1 (20)" pbc="T T T"
Bi -0.626 9.668 6.349
Bi -4.314 7.119 -3.762
Bi -6.347 6.506 6.926
Bi -0.261 6.811 0.524
Bi -1.453 3.604 5.339
Bi -5.982 3.649 1.101
O -6.938 10.584 5.996
O -6.459 7.828 1.962
O -7.864 4.902 4.606
O -6.663 8.100 8.663
O -4.794 10.380 4.750
O -4.984 5.823 1.639
O -1.023 4.759 1.011
O -4.890 10.370 7.366
O -2.175 4.355 3.273
O -5.512 8.332 5.929
O -4.225 6.314 7.625
O -3.982 1.645 2.164
O -4.820 7.895 0.079
O 0.105 3.427 3.027
O -1.653 2.438 1.569
O -6.045 3.489 3.371
O -0.584 6.271 -1.771
O -2.570 9.054 4.986
O -2.851 0.937 -0.028
O -3.719 3.278 0.234
O -3.742 6.285 -1.681
O 0.857 9.072 2.496
O -3.085 3.903 7.586
O -5.438 5.239 5.129
O -1.943 8.479 8.040
O 0.410 8.222 4.927
O -1.084 11.432 7.712
O -2.410 5.623 5.941
O -6.788 6.313 -0.082
O -6.497 3.489 -1.111
O -3.104 10.363 2.912
O 1.918 6.372 -1.781
O -1.950 5.920 8.501
O -0.531 7.024 2.878
O -0.803 7.505 10.053
O -8.127 6.287 9.579
O -3.298 8.718 -1.710
O 0.154 7.083 7.710
O -2.456 7.228 0.335
O -2.601 11.592 5.107
P 0.641 6.686 -2.598
P -3.462 7.526 -0.752
P -1.110 7.305 8.504
P -6.470 4.228 4.608
P -5.777 6.870 0.889
P -1.129 3.847 2.211
P -3.028 5.425 7.376
P -3.137 2.114 1.005
P -5.597 9.835 6.065
P -7.970 7.819 9.420
P 0.583 7.900 3.469
P -3.193 10.344 4.501
Li -2.977 6.118 4.010
Li -2.791 4.605 -2.433

Most stable structure - model one; separation to the second - 8 meV/atom.

Model one:
36
Lattice="-8.332 -3.587 -0.533 -0.770 -9.046 -0.375 -3.280 -4.331 7.359" Properties=species:S:1:pos:R:3 comment="LiBi2P3O12 (PBE-GGA, relaxed)" crystal_system=monoclinic spacegroup="C2/c (15)" pbc="T T T"
P -3.473 -3.126 3.039
P -3.598 -6.385 6.750
P -7.525 -9.193 5.054
P -8.784 -10.579 -0.300
P -4.856 -7.771 1.396
P -8.908 -13.838 3.412
O -6.110 -8.683 4.711
O -4.620 -3.172 2.014
O -8.030 -8.265 6.209
O -6.272 -8.281 1.740
O -3.252 -7.508 5.757
O -2.419 -4.227 2.746
O -7.761 -13.792 4.436
O -3.848 -7.934 2.582
O -8.533 -9.030 3.868
O -4.966 -5.737 6.407
O -8.786 -6.142 0.324
O -9.129 -9.456 0.694
O -7.667 -4.534 2.328
O -4.714 -12.431 4.123
O -7.416 -11.227 0.044
O -10.765 -8.936 6.162
O -1.616 -8.029 0.289
O -7.574 -10.690 5.426
O -4.351 -8.699 0.242
O -3.595 -10.822 6.127
O -8.758 -6.222 3.853
O -4.807 -6.274 1.024
O -9.962 -12.738 3.705
O -3.623 -10.742 2.598
Bi -8.518 -7.763 1.985
Bi -6.382 -12.654 5.744
Bi -3.863 -9.201 4.465
Bi -5.999 -4.310 0.707
Li -9.934 -7.454 5.004
Li -2.447 -9.510 1.447

Model two:
72
Lattice="9.259 0.000 0.000 0.000 9.171 0.000 0.000 9.057 12.951" Properties=species:S:1:pos:R:3 comment="LiBi2P3O12 (PBE-GGA, relaxed)" crystal_system=monoclinic spacegroup="Pc (7)" pbc="T T T"
O 5.604 9.567 5.836
O 1.307 8.601 10.705
O 8.332 8.762 7.262
O 4.633 7.585 10.429
O 7.836 8.426 2.032
O 7.444 5.950 5.890
O 6.624 12.392 7.058
O 6.742 6.245 3.573
O 6.087 16.980 12.517
O 8.617 10.485 5.403
O 2.635 7.864 0.582
O 7.952 4.072 4.229
O 7.732 1.281 0.475
O 7.172 12.127 9.387
O 2.581 15.127 9.235
O 0.643 15.013 11.878
O 9.227 10.358 2.526
O 0.032 14.886 9.001
O 5.950 14.271 8.652
O 3.172 12.451 6.042
O 4.682 12.142 8.782
O 8.499 5.984 1.039
O 3.655 14.096 12.312
O 2.100 2.951 3.744
O 5.349 7.608 7.504
O 5.322 12.336 11.874
O 3.596 9.294 7.454
O 3.937 7.807 5.399
O 2.518 10.774 10.048
O 1.527 5.810 6.951
O 5.663 4.765 0.978
O 8.149 13.330 12.106
O 4.626 3.056 3.954
O 3.910 3.079 1.028
O 0.025 10.765 10.526
O 3.309 9.743 2.176
O 5.960 9.659 10.822
O 4.577 7.614 2.306
O 1.110 8.801 5.631
O 2.087 7.599 2.912
O 9.234 6.236 4.051
O 6.678 10.598 2.760
O 7.159 7.480 10.219
O 0.927 4.233 0.787
O 1.815 10.478 12.365
O 0.760 10.513 7.514
O 3.299 5.131 4.346
O 1.423 12.954 8.507
Li 0.204 7.212 2.331
Li 4.442 6.408 8.807
Li 9.056 11.741 8.806
Li 4.817 1.879 2.332
P 1.408 14.529 8.419
P 5.987 8.095 10.991
P 3.191 8.217 1.963
P 7.851 10.000 1.944
P 4.596 4.070 0.059
P 4.663 8.599 6.534
P 3.272 3.567 4.516
P 1.400 10.118 10.942
P 9.200 14.122 12.919
P 7.859 5.589 4.467
P 6.068 12.746 8.438
P 0.059 9.593 6.443
Bi 7.250 11.355 11.511
Bi 6.683 11.495 4.964
Bi 2.009 6.827 5.035
Bi 2.576 16.023 11.439
Bi 1.770 2.269 1.584
Bi 6.426 6.765 1.445
Bi 2.833 11.294 7.920
Bi 7.489 6.798 8.059

Most stable structure - model two; separation to the second - 30 meV/atom.